1.
Material: MgSi2
Method: DFT, GGA-PBE
State: optimized geometry

a b c (Å): 6.933 3.603 9.007
angles (deg): 90.00 102.99 90.00
Space group P2_1/m (No. 11)
Symmetry-distinct sites (fractional):
Mg: 0.047 0.250 0.359
Mg: 0.240 0.750 0.139
Si: 0.156 0.250 0.869
Si: 0.292 0.250 0.634
Si: 0.414 0.750 0.899
Si: 0.473 0.250 0.353

Energy above the lowest structure with this stoichiometry (eV per atom): 0.153

=====

2.
Material: Ca2SnS4
Method: DFT, GGA-PBE
State: optimized geometry

a b c (Å): 11.8036 11.8036 3.9290
angles (deg): 90.00 90.00 120.00
Space group P-62m (No. 189)
Symmetry-distinct sites (fractional):
Ca: 0.0000 0.0000 0.0000
Ca: 0.0000 0.2923 0.5000
Ca: 0.3333 0.6667 0.5000
Sn: 0.0000 0.6611 0.0000
S: 0.0000 0.5253 0.5000
S: 0.0000 0.8276 0.5000
S: 0.1989 0.4434 0.0000

Piezoelectric modulus e_max (C/m²): 0.21
Energy above the lowest structure with this stoichiometry (eV per atom): 0.073

=====

3.
Material: ZnGa2S4
Method: DFT, GGA-PBE
State: optimized geometry

a b c (Å): 10.212 10.212 10.212
angles (deg): 90.00 90.00 90.00
Space group Fd-3m (No. 227, origin choice 2)
Symmetry-distinct sites (fractional):
Zn: 0.125 0.125 0.125
Ga: 0.000 0.000 0.500
S: 0.009 0.009 0.741

Energy (hartree per atom): -0.1478

=====

4.
Material: SiB4
Method: DFT, GGA-PBE
State: optimized geometry

a b c (Å): 6.2189 6.2189 12.4671
angles (deg): 90.00 90.00 120.00
Space group R-3m (No. 166, hexagonal axes)
Symmetry-distinct sites (fractional):
Si: 0.0000 0.0000 0.0000
Si: 0.0000 0.0000 0.1743
B: 0.0320 0.5160 0.1933
B: 0.1029 0.2059 0.3829

Energy (hartree per atom): -0.2271

=====

5.
Material: Bi2Se
Method: DFT, GGA-PBE
State: optimized geometry

a b c (Å): 4.2334 4.2334 24.4481
angles (deg): 90.00 90.00 120.00
Space group P-3m1 (No. 164)
Symmetry-distinct sites (fractional):
Bi: 0.0000 0.0000 0.1337
Bi: 0.3333 0.6667 0.0534
Bi: 0.3333 0.6667 0.2960
Bi: 0.3333 0.6667 0.5397
Se: 0.0000 0.0000 0.3641
Se: 0.3333 0.6667 0.7759

Energy above the lowest structure with this stoichiometry (eV per atom): 0.000

=====

6.
Material: Na3Dy
Method: DFT, GGA-PBE
State: optimized geometry

a b c (Å): 7.2874 7.2874 5.8482
angles (deg): 90.00 90.00 120.00
Space group P6_3/mmc (No. 194)
Symmetry-distinct sites (fractional):
Na: 0.1630 0.3259 0.2500
Dy: 0.3333 0.6667 0.7500

Energy (hartree per atom): -0.0649

=====

7.
Material: Pr2MgCu2
Method: DFT, GGA-PBE
State: optimized geometry

a b c (Å): 7.917 7.917 3.807
angles (deg): 90.00 90.00 90.00
Space group P4/mbm (No. 127)
Symmetry-distinct sites (fractional):
Pr: 0.178 0.322 0.000
Mg: 0.000 0.000 0.500
Cu: 0.116 0.616 0.500

Energy (hartree per atom): -0.1489

=====

8.
Material: NaNiN
Method: DFT, GGA-PBE
State: optimized geometry

a b c (Å): 8.871 3.442 5.743
angles (deg): 90.00 90.00 90.00
Space group Pnma (No. 62)
Symmetry-distinct sites (fractional):
Na: 0.163 0.250 0.067
Ni: 0.051 0.250 0.612
N: 0.069 0.750 0.694

Energy (hartree per atom): -0.1883